! GGA+U Li7Mn2Co3O12, optimized geometry; values from VASP
&SYSTEM
  ibrav = 0, nat = 24, ntyp = 4
/
ATOMIC_SPECIES
Li 6.94 Li.upf
Mn 54.94 Mn.upf
Co 58.93 Co.upf
O 16.00 O.upf
CELL_PARAMETERS angstrom
2.877 0.000 0.000
0.000 5.828 0.000
0.000 2.869 12.846
ATOMIC_POSITIONS angstrom
Li 0.000 2.875 8.824
Li 1.439 7.235 6.569
Li 0.000 5.796 4.313
Li 1.439 4.367 2.060
Li 0.000 5.824 12.592
Li 1.439 4.323 10.675
Li 1.439 7.298 10.693
Mn 0.000 2.848 12.744
Mn 0.000 2.912 4.231
Co 0.000 5.834 8.825
Co 1.439 4.361 6.493
Co 1.439 1.399 2.092
O 0.000 5.623 6.381
O 1.439 4.209 4.191
O 0.000 2.830 2.303
O 1.439 1.340 0.023
O 0.000 2.900 10.924
O 1.439 7.151 8.538
O 0.000 5.801 10.608
O 1.439 4.433 8.526
O 0.000 3.036 6.226
O 1.439 1.582 4.291
O 0.000 5.880 2.020
O 1.439 4.510 0.007
! density = 4.06 g/cm³
! energy above the most stable polymorph in this dataset = 105 meV per atom
! energy = -139.8 eV/cell
! SG = No. 6
! volume = 8.975 Å³ per atom